A plane-wave DFT calculation with PBE was carried out for an optimized crystal structure of Ba5Pt2O9.

The symmetry is P321, No. 150. For the uncorrected energy, the calculation gives -6.065 eV/atom.

Cell: 10.3412 10.3412 9.0302 Å, 90.00 90.00 120.00°
Fractional positions:
1 Ba 0.6338 0.6338 0.0000
2 Ba 0.3356 0.3033 0.7361
3 Ba 0.0000 0.3662 0.0000
4 Ba 0.6644 0.9677 0.2639
5 Ba 0.6967 0.0323 0.7361
6 Ba 0.0323 0.6967 0.2639
7 Ba 0.9677 0.6644 0.7361
8 Ba 0.3662 0.0000 0.0000
9 Ba 0.0000 0.3290 0.5000
10 Ba 0.6667 0.3333 0.2480
11 Ba 0.3333 0.6667 0.7520
12 Ba 0.3290 0.0000 0.5000
13 Ba 0.6710 0.6710 0.5000
14 Ba 0.0000 0.0000 0.0000
15 Ba 0.3033 0.3356 0.2639
16 O 0.0000 0.8519 0.5000
17 O 0.4935 0.3175 0.4672
18 O 0.8322 0.8260 0.2211
19 O 0.5220 0.1725 0.7470
20 O 0.6505 0.4780 0.7470
21 O 0.4901 0.3154 0.0270
22 O 0.1678 0.9938 0.7789
23 O 0.6846 0.1746 0.0270
24 O 0.1746 0.6846 0.9730
25 O 0.1740 0.0062 0.2211
26 O 0.9938 0.1678 0.2211
27 O 0.6825 0.1760 0.4672
28 O 0.1725 0.5220 0.2530
29 O 0.8260 0.8322 0.7789
30 O 0.1760 0.6825 0.5328
31 O 0.5099 0.8254 0.9730
32 O 0.8254 0.5099 0.0270
33 O 0.3175 0.4935 0.5328
34 O 0.3495 0.8275 0.2530
35 O 0.8275 0.3495 0.7470
36 O 0.4780 0.6505 0.2530
37 O 0.8519 0.0000 0.5000
38 O 0.0062 0.1740 0.7789
39 O 0.3154 0.4901 0.9730
40 O 0.5065 0.8240 0.5328
41 O 0.1481 0.1481 0.5000
42 O 0.8240 0.5065 0.4672
43 Pt 0.0000 0.0000 0.3454
44 Pt 0.6667 0.3333 0.9017
45 Pt 0.3333 0.6667 0.0983
46 Pt 0.3333 0.6667 0.4078
47 Pt 0.0000 0.0000 0.6546
48 Pt 0.6667 0.3333 0.5921

A plane-wave DFT calculation with PBE was carried out for an optimized crystal structure of Ca19Ag8N7.

For the total moment, the calculation gives 1.6 Bohr magnetons per cell. The symmetry is Fm-3m, No. 225. For the uncorrected energy, the calculation gives -4.049 eV/atom.

Cell: 10.3151 10.3151 10.3151 Å, 60.00 60.00 60.00°
Fractional positions:
1 Ca 0.8293 0.1707 0.5000
2 Ca 0.8349 0.1651 0.1651
3 Ca 0.1651 0.1651 0.8349
4 Ca 0.8349 0.8349 0.1651
5 Ca 0.5000 0.8293 0.1707
6 Ca 0.5000 0.5000 0.5000
7 Ca 0.5000 0.1707 0.5000
8 Ca 0.1707 0.5000 0.8293
9 Ca 0.5000 0.5000 0.8293
10 Ca 0.1651 0.8349 0.1651
11 Ca 0.1707 0.8293 0.5000
12 Ca 0.1651 0.8349 0.8349
13 Ca 0.5000 0.8293 0.5000
14 Ca 0.5000 0.5000 0.1707
15 Ca 0.8293 0.5000 0.5000
16 Ca 0.8349 0.1651 0.8349
17 Ca 0.1707 0.5000 0.5000
18 Ca 0.8293 0.5000 0.1707
19 Ca 0.5000 0.1707 0.8293
20 Ag 0.8238 0.5285 0.8238
21 Ag 0.4715 0.1762 0.1762
22 Ag 0.8238 0.8238 0.8238
23 Ag 0.1762 0.1762 0.4715
24 Ag 0.8238 0.8238 0.5285
25 Ag 0.1762 0.4715 0.1762
26 Ag 0.5285 0.8238 0.8238
27 Ag 0.1762 0.1762 0.1762
28 N 0.3259 0.3259 0.6741
29 N 0.0000 0.0000 0.0000
30 N 0.6741 0.3259 0.6741
31 N 0.3259 0.6741 0.3259
32 N 0.6741 0.6741 0.3259
33 N 0.6741 0.3259 0.3259
34 N 0.3259 0.6741 0.6741

A plane-wave DFT calculation with PBE was carried out for an optimized crystal structure of La4MgTi3O12.

For the energy above the most stable polymorph in this dataset, the calculation gives 77 meV/atom. For the total moment, the calculation gives 2.0 Bohr magnetons per cell. The symmetry is R-3, No. 148.

Cell: 9.7755 9.7755 9.7755 Å, 33.63 33.63 33.63°
Fractional positions:
1 O 0.1276 0.6993 0.5411
2 O 0.2933 0.8634 0.7222
3 O 0.5411 0.1276 0.6993
4 O 0.1366 0.2778 0.7067
5 O 0.6993 0.5411 0.1276
6 O 0.8724 0.3007 0.4589
7 O 0.8634 0.7222 0.2933
8 O 0.4589 0.8724 0.3007
9 O 0.2778 0.7067 0.1366
10 O 0.3007 0.4589 0.8724
11 O 0.7067 0.1366 0.2778
12 O 0.7222 0.2933 0.8634
13 La 0.2790 0.2790 0.2790
14 La 0.1338 0.1338 0.1338
15 La 0.8662 0.8662 0.8662
16 La 0.7210 0.7210 0.7210
17 Mg 0.5000 0.5000 0.5000
18 Ti 0.5928 0.5928 0.5928
19 Ti 0.0000 0.0000 0.0000
20 Ti 0.4072 0.4072 0.4072

A plane-wave DFT calculation with PBE was carried out for an optimized crystal structure of Na7Y2In2SiP5O24.

For the total moment, the calculation gives 0.0 Bohr magnetons per cell. The symmetry is P1, No. 1. For the uncorrected energy, the calculation gives -6.762 eV/atom.

Cell: 9.2941 9.3111 23.0063 Å, 89.89 89.88 120.03°
Fractional positions:
1 O 0.4736 0.3577 0.1420
2 O 0.4451 0.1493 0.5262
3 O 0.5628 0.8831 0.4777
4 O 0.9724 0.7834 0.8046
5 O 0.0004 0.1795 0.9142
6 O 0.0165 0.8214 0.4135
7 O 0.1128 0.6386 0.3633
8 O 0.8469 0.3413 0.9187
9 O 0.9851 0.8172 0.0855
10 O 0.7862 0.9702 0.6906
11 O 0.2192 0.0265 0.3035
12 O 0.3151 0.4450 0.4718
13 O 0.4784 0.1159 0.6428
14 O 0.5159 0.6604 0.2523
15 O 0.8176 0.0325 0.8074
16 O 0.1357 0.6842 0.4723
17 O 0.1232 0.4423 0.9721
18 O 0.9732 0.1701 0.5874
19 O 0.8262 0.8067 0.5884
20 O 0.3630 0.4940 0.0784
21 O 0.7030 0.5466 0.5337
22 O 0.5244 0.8865 0.3693
23 O 0.8816 0.5167 0.1417
24 O 0.8257 0.0292 0.0871
25 O 0.6667 0.5133 0.9182
26 O 0.4776 0.3222 0.7448
27 O 0.5171 0.8382 0.7523
28 O 0.8557 0.3089 0.5286
29 O 0.0182 0.2226 0.1949
30 O 0.1760 0.1853 0.4138
31 O 0.8170 0.0069 0.4146
32 O 0.5133 0.8602 0.0769
33 O 0.8433 0.3285 0.2485
34 O 0.6900 0.1739 0.7468
35 O 0.8206 0.8282 0.9133
36 O 0.3103 0.4673 0.7552
37 O 0.4535 0.2970 0.0327
38 O 0.1491 0.6755 0.7550
39 O 0.2156 0.1770 0.7997
40 O 0.4946 0.1461 0.9209
41 O 0.7695 0.7824 0.1890
42 O 0.1986 0.9823 0.1944
43 O 0.8875 0.3653 0.6387
44 O 0.0309 0.8102 0.6944
45 O 0.1975 0.2235 0.6909
46 O 0.3582 0.8896 0.8624
47 O 0.3489 0.4634 0.3620
48 O 0.8558 0.4987 0.4225
49 O 0.6464 0.5284 0.6431
50 O 0.1937 0.1822 0.0889
51 O 0.3424 0.8480 0.5814
52 O 0.6523 0.1542 0.4213
53 O 0.5114 0.6424 0.5806
54 O 0.1768 0.0167 0.5880
55 O 0.3072 0.8655 0.9709
56 O 0.1098 0.4643 0.8625
57 O 0.6804 0.5126 0.2465
58 O 0.3162 0.8442 0.2534
59 O 0.8089 0.7818 0.2974
60 O 0.1699 0.9826 0.9112
61 O 0.1406 0.4833 0.5785
62 O 0.5425 0.6540 0.8611
63 O 0.6282 0.1179 0.1336
64 O 0.8507 0.5469 0.0246
65 O 0.1577 0.4819 0.2530
66 O 0.1509 0.6501 0.0802
67 O 0.9855 0.2035 0.3048
68 O 0.4902 0.3383 0.4188
69 O 0.4774 0.1666 0.2453
70 O 0.5596 0.6892 0.9707
71 O 0.6893 0.1402 0.0240
72 O 0.8353 0.5287 0.7448
73 Y 0.3368 0.6674 0.8183
74 Y 0.3395 0.6701 0.5162
75 Y 0.3436 0.6749 0.3183
76 Y 0.9939 0.9966 0.1510
77 Y 0.9896 0.9916 0.3489
78 Y 0.3302 0.6625 0.0139
79 P 0.3740 0.3330 0.0853
80 P 0.9981 0.3060 0.2502
81 P 0.6390 0.9800 0.4208
82 P 0.3059 0.0050 0.2491
83 P 0.6445 0.6680 0.9159
84 P 0.2979 0.2950 0.7478
85 P 0.0227 0.3564 0.9168
86 P 0.3356 0.3611 0.4167
87 P 0.3329 0.9751 0.9163
88 P 0.6938 0.6866 0.2462
89 P 0.0270 0.6607 0.4179
90 P 0.6645 0.0399 0.0806
91 P 0.6716 0.6289 0.5863
92 P 0.9965 0.7017 0.7497
93 P 0.9614 0.3313 0.5833
94 In 0.0033 0.0058 0.8481
95 In 0.0009 0.0008 0.6515
96 In 0.6659 0.3279 0.6823
97 In 0.6634 0.3365 0.9836
98 In 0.6606 0.3358 0.4855
99 In 0.6701 0.3282 0.1823
100 Na 0.6656 0.9705 0.5889
101 Na 0.0291 0.3399 0.0853
102 Na 0.3642 0.3608 0.2496
103 Na 0.3413 0.6807 0.6670
104 Na 0.9695 0.3062 0.4168
105 Na 0.9939 0.9888 0.5014
106 Na 0.3381 0.6781 0.1674
107 Na 0.0361 0.7059 0.5842
108 Na 0.6735 0.6959 0.0816
109 Na 0.6667 0.3337 0.3335
110 Na 0.3373 0.0353 0.4208
111 Na 0.3760 0.0057 0.7458
112 Na 0.0122 0.0060 0.9964
113 Na 0.6384 0.6396 0.7472
114 Na 0.6549 0.3278 0.8344
115 Na 0.6997 0.0325 0.9134
116 Na 0.2986 0.3227 0.5824
117 Na 0.2962 0.9635 0.0831
118 Na 0.9912 0.3585 0.7517
119 Na 0.9949 0.6308 0.2458
120 Na 0.9668 0.6651 0.9202
121 Si 0.3640 0.0353 0.5847
122 Si 0.9635 0.6298 0.0829
123 Si 0.7053 0.0038 0.7490

A plane-wave DFT calculation with PBE was carried out for an optimized crystal structure of HfCdC6O17.

For the total moment, the calculation gives 0.0 Bohr magnetons per cell. The symmetry is P2_1/c, No. 14. For the uncorrected energy, the calculation gives -6.916 eV/atom.

Cell: 17.0268 8.9465 9.9508 Å, 73.49 90.00 90.00°
Fractional positions:
1 O 0.1963 0.6103 0.0966
2 O 0.9357 0.1873 0.4181
3 O 0.1468 0.4447 0.7386
4 O 0.2671 0.9054 0.9942
5 O 0.8931 0.9504 0.6384
6 O 0.3532 0.4447 0.2386
7 O 0.5517 0.8821 0.8665
8 O 0.9679 0.4343 0.8998
9 O 0.8037 0.3897 0.9034
10 O 0.8532 0.5553 0.2614
11 O 0.6291 0.4120 0.9869
12 O 0.8754 0.7022 0.7731
13 O 0.3709 0.5880 0.0131
14 O 0.6783 0.2677 0.2352
15 O 0.4357 0.8127 0.0819
16 O 0.7400 0.6512 0.0198
17 O 0.5283 0.3353 0.2158
18 O 0.9717 0.3353 0.7158
19 O 0.7600 0.6512 0.5198
20 O 0.9254 0.0487 0.8482
21 O 0.9079 0.2919 0.1882
22 O 0.6027 0.8169 0.5051
23 O 0.3217 0.7323 0.7648
24 O 0.8973 0.8169 0.0051
25 O 0.4679 0.5657 0.6002
26 O 0.0944 0.0797 0.7375
27 O 0.0746 0.9513 0.1518
28 O 0.1783 0.7323 0.2648
29 O 0.2725 0.9925 0.0697
30 O 0.6246 0.7022 0.2731
31 O 0.0321 0.5657 0.1002
32 O 0.4717 0.6647 0.7842
33 O 0.3754 0.2978 0.7269
34 O 0.6468 0.5553 0.7614
35 O 0.2275 0.9925 0.5697
36 O 0.0921 0.7081 0.8118
37 O 0.4056 0.0797 0.2375
38 O 0.4254 0.9513 0.6518
39 O 0.9483 0.8821 0.3665
40 O 0.9056 0.9203 0.2625
41 O 0.8709 0.4120 0.4869
42 O 0.7329 0.0946 0.0058
43 O 0.1246 0.2978 0.2269
44 O 0.2400 0.3488 0.4802
45 O 0.6069 0.9504 0.1384
46 O 0.5643 0.1873 0.9181
47 O 0.7275 0.0075 0.9303
48 O 0.7725 0.0075 0.4303
49 O 0.1069 0.0496 0.3616
50 O 0.4483 0.1179 0.1335
51 O 0.1291 0.5880 0.5131
52 O 0.5746 0.0487 0.3482
53 O 0.1027 0.1831 0.9949
54 O 0.0517 0.1179 0.6335
55 O 0.6963 0.3897 0.4034
56 O 0.5321 0.4343 0.3998
57 O 0.0643 0.8127 0.5819
58 O 0.4079 0.7081 0.3118
59 O 0.3973 0.1831 0.4949
60 O 0.7671 0.0946 0.5058
61 O 0.3931 0.0496 0.8616
62 O 0.3037 0.6103 0.5966
63 O 0.5944 0.9203 0.7625
64 O 0.5921 0.2919 0.6882
65 O 0.2329 0.9054 0.4942
66 O 0.2600 0.3488 0.9802
67 O 0.0283 0.6647 0.2842
68 O 0.8217 0.2677 0.7352
69 C 0.3740 0.5636 0.1469
70 C 0.4359 0.6245 0.6846
71 C 0.5945 0.9043 0.3840
72 C 0.9055 0.9043 0.8840
73 C 0.5915 0.2954 0.8116
74 C 0.4085 0.7046 0.1884
75 C 0.8457 0.3441 0.8212
76 C 0.0915 0.7046 0.6884
77 C 0.1543 0.6559 0.1788
78 C 0.3898 0.1584 0.7434
79 C 0.6543 0.3441 0.3212
80 C 0.8740 0.4364 0.3531
81 C 0.8898 0.8416 0.7566
82 C 0.4055 0.0957 0.6160
83 C 0.9359 0.3755 0.8154
84 C 0.0641 0.6245 0.1846
85 C 0.6102 0.8416 0.2566
86 C 0.6260 0.4364 0.8531
87 C 0.9085 0.2954 0.3116
88 C 0.3457 0.6559 0.6788
89 C 0.5641 0.3755 0.3154
90 C 0.0945 0.0957 0.1160
91 C 0.1260 0.5636 0.6469
92 C 0.1102 0.1584 0.2434
93 Hf 0.4102 0.8112 0.8734
94 Hf 0.5898 0.1888 0.1266
95 Hf 0.0898 0.8112 0.3734
96 Hf 0.9102 0.1888 0.6266
97 Cd 0.8737 0.5465 0.0275
98 Cd 0.6263 0.5465 0.5275
99 Cd 0.1263 0.4535 0.9725
100 Cd 0.3737 0.4535 0.4725

A plane-wave DFT calculation with PBE was carried out for an optimized crystal structure of Li2SnP2O7.

For the energy above the most stable polymorph in this dataset, the calculation gives 20 meV/atom. For the total moment, the calculation gives 0.0 Bohr magnetons per cell. The symmetry is P-1, No. 2.

Cell: 5.3713 7.0201 8.9456 Å, 108.20 93.25 110.70°
Fractional positions:
1 P 0.4798 0.8427 0.1447
2 P 0.7641 0.3848 0.6439
3 P 0.5202 0.1573 0.8553
4 P 0.2359 0.6152 0.3561
5 O 0.7649 0.6095 0.7559
6 O 0.3248 0.6592 0.5321
7 O 0.4826 0.7943 0.3116
8 O 0.5174 0.2057 0.6884
9 O 0.6752 0.3408 0.4679
10 O 0.9794 0.6436 0.3084
11 O 0.0206 0.3564 0.6916
12 O 0.7012 0.3629 0.9941
13 O 0.7812 0.9222 0.1315
14 O 0.3666 0.0221 0.1685
15 O 0.2988 0.6371 0.0059
16 O 0.2351 0.3905 0.2441
17 O 0.2188 0.0778 0.8685
18 O 0.6334 0.9779 0.8315
19 Li 0.3568 0.6191 0.7712
20 Li 0.6432 0.3809 0.2288
21 Li 0.1015 0.3213 0.0027
22 Li 0.8985 0.6787 0.9973
23 Sn 0.1350 0.1241 0.3516
24 Sn 0.8650 0.8759 0.6484

A plane-wave DFT calculation with PBE was carried out for an optimized crystal structure of La2ZnSe2O2.

For the total moment, the calculation gives 0.0 Bohr magnetons per cell. The symmetry is Cmce, No. 64. For the uncorrected energy, the calculation gives -6.446 eV/atom.

Cell: 14.6265 14.6265 5.7770 Å, 90.00 90.00 104.11°
Fractional positions:
1 O 0.3118 0.1866 0.9758
2 O 0.9349 0.5597 0.5052
3 O 0.6882 0.8134 0.0242
4 O 0.0651 0.4403 0.4948
5 O 0.8118 0.6866 0.5242
6 O 0.4349 0.0597 0.9948
7 O 0.8134 0.6882 0.0242
8 O 0.9403 0.5651 0.0052
9 O 0.0597 0.4349 0.9948
10 O 0.5651 0.9403 0.0052
11 O 0.3134 0.1882 0.4758
12 O 0.1882 0.3134 0.4758
13 O 0.6866 0.8118 0.5242
14 O 0.4403 0.0651 0.4948
15 O 0.5597 0.9349 0.5052
16 O 0.1866 0.3118 0.9758
17 Se 0.3334 0.8334 0.7500
18 Se 0.2898 0.5427 0.7392
19 Se 0.2102 0.9573 0.2392
20 Se 0.8334 0.3334 0.7500
21 Se 0.5427 0.2898 0.7392
22 Se 0.6666 0.1666 0.2500
23 Se 0.4153 0.4153 0.2102
24 Se 0.5847 0.5847 0.7898
25 Se 0.9153 0.9153 0.2898
26 Se 0.1666 0.6666 0.2500
27 Se 0.7898 0.0427 0.7608
28 Se 0.4573 0.7102 0.2608
29 Se 0.7102 0.4573 0.2608
30 Se 0.0847 0.0847 0.7102
31 Se 0.9573 0.2102 0.2392
32 Se 0.0427 0.7898 0.7608
33 La 0.9315 0.4315 0.2500
34 La 0.1927 0.4428 0.2323
35 La 0.9428 0.6927 0.2677
36 La 0.8191 0.8191 0.7752
37 La 0.4428 0.1927 0.2323
38 La 0.3191 0.3191 0.7248
39 La 0.6927 0.9428 0.2677
40 La 0.0572 0.3073 0.7323
41 La 0.5572 0.8073 0.7677
42 La 0.5685 0.0685 0.7500
43 La 0.8073 0.5572 0.7677
44 La 0.0685 0.5685 0.7500
45 La 0.4315 0.9315 0.2500
46 La 0.3073 0.0572 0.7323
47 La 0.1809 0.1809 0.2248
48 La 0.6809 0.6809 0.2752
49 Zn 0.4303 0.5697 0.0000
50 Zn 0.0697 0.9303 0.5000
51 Zn 0.3107 0.6893 0.5000
52 Zn 0.6893 0.3107 0.5000
53 Zn 0.1893 0.8107 0.0000
54 Zn 0.5697 0.4303 0.0000
55 Zn 0.9303 0.0697 0.5000
56 Zn 0.8107 0.1893 0.0000

What density values result from the calculations? In sequence: 7.3, 3.7, 6.0, 3.3, 2.9, 3.5, 5.9 g cm⁻³.